[1]
The following is a DFT calculation (PBE with a Hubbard U) of an optimized crystal structure of ThMoO3.

Results
Its calculated total energy is -7.846 eV/atom. The value obtained for the formation enthalpy at 0 K is -2.278 eV per atom. Its crystal system is cubic.

a = 4.109 Å, b = 4.109 Å, c = 4.109 Å
α = 90.00°, β = 90.00°, γ = 90.00°
Element x y z (fractional)
Th 0.000 0.000 0.000
O 0.500 0.500 0.000
O 0.000 0.500 0.500
O 0.500 0.000 0.500
Mo 0.500 0.500 0.500

[2]
The following is a DFT calculation (PBE with a Hubbard U) of an optimized crystal structure of Ba2YTlCr2O7.

Results
Its calculated total energy is -7.026 eV/atom. The value obtained for the formation enthalpy at 0 K is -2.580 eV per atom. Its crystal system is tetragonal.

a = 3.950 Å, b = 3.950 Å, c = 13.168 Å
α = 90.00°, β = 90.00°, γ = 90.00°
Element x y z (fractional)
O 0.000 0.500 0.607
O 0.500 0.500 0.785
Tl 0.500 0.500 0.000
O 0.000 0.000 0.000
Ba 0.000 0.000 0.803
O 0.500 0.000 0.393
Cr 0.500 0.500 0.361
Cr 0.500 0.500 0.639
Ba 0.000 0.000 0.197
O 0.500 0.000 0.607
Y 0.000 0.000 0.500
O 0.500 0.500 0.215
O 0.000 0.500 0.393

[3]
The following is a DFT calculation (PBE with a Hubbard U) of an optimized crystal structure of Li8Mn6Fe3O18.

Results
Its calculated total energy is -6.406 eV/atom. The value obtained for the formation enthalpy at 0 K is -1.961 eV per atom. Its crystal system is monoclinic.

a = 8.966 Å, b = 8.966 Å, c = 10.165 Å
α = 88.71°, β = 91.29°, γ = 59.50°
Element x y z (fractional)
Li 0.734 0.391 0.720
O 0.206 0.553 0.111
Mn 0.332 0.666 0.996
Fe 0.504 0.495 0.489
Mn 0.500 0.834 0.496
O 0.284 0.286 0.608
Fe 0.672 0.662 0.989
O 0.881 0.882 0.108
O 0.762 0.119 0.901
O 0.243 0.196 0.117
Fe 0.834 0.835 0.504
O 0.130 0.779 0.884
Fe 0.332 0.333 0.004
O 0.937 0.287 0.609
O 0.723 0.413 0.395
Mn 0.498 0.164 0.498
O 0.562 0.890 0.102
O 0.373 0.391 0.396
O 0.616 0.611 0.601
Mn 0.161 0.828 0.495
Li 0.398 0.705 0.728
O 0.754 0.444 0.895
Mn 0.003 0.668 0.998
O 0.058 0.713 0.397
Mn 0.833 0.506 0.500
Li 0.063 0.705 0.729
O 0.719 0.722 0.398
Fe 0.168 0.161 0.499
Mn 0.166 0.496 0.502
Mn 0.338 0.006 0.995
O 0.280 0.918 0.600
Li 0.462 0.104 0.229
O 0.448 0.803 0.885
Li 0.096 0.014 0.736
Li 0.128 0.415 0.221
Li 0.806 0.087 0.231
O 0.880 0.229 0.109
O 0.715 0.072 0.400
Li 0.426 0.325 0.745
Li 0.775 0.433 0.220
Li 0.842 0.741 0.245
Mn 0.671 0.000 0.002
O 0.970 0.923 0.617
O 0.095 0.452 0.900
O 0.614 0.961 0.611
O 0.577 0.204 0.107
O 0.885 0.539 0.114
Fe 0.006 0.998 0.999
O 0.963 0.589 0.607
O 0.556 0.551 0.101
O 0.041 0.045 0.396
Li 0.079 0.361 0.731
Li 0.462 0.769 0.228
O 0.276 0.605 0.602
O 0.388 0.036 0.384
Li 0.752 0.039 0.721
Li 0.553 0.906 0.773
O 0.444 0.447 0.898
O 0.249 0.886 0.100
Li 0.153 0.070 0.236
Li 0.260 0.614 0.273
Mn 0.660 0.333 0.000
O 0.453 0.108 0.897
O 0.776 0.793 0.896
O 0.628 0.281 0.614
Mn 0.834 0.168 0.501
O 0.047 0.404 0.401
O 0.364 0.718 0.385
O 0.122 0.126 0.896
Mn 0.999 0.333 0.001

[4]
The following is a DFT calculation (PBE with a Hubbard U) of an optimized crystal structure of MgFeBiO3.

Results
Its calculated total energy is -5.629 eV/atom. The value obtained for the formation enthalpy at 0 K is -1.547 eV per atom. Its crystal system is tetragonal.

a = 3.745 Å, b = 3.745 Å, c = 6.879 Å
α = 90.00°, β = 90.00°, γ = 90.00°
Element x y z (fractional)
Mg 0.000 0.000 0.364
O 0.500 0.500 0.855
O 0.500 0.000 0.463
Bi 0.000 0.000 0.909
O 0.000 0.500 0.463
Fe 0.500 0.500 0.564

[5]
The following is a DFT calculation (PBE with a Hubbard U) of an optimized crystal structure of Ba2CoF6.

Results
Its calculated total energy is -5.505 eV/atom. The value obtained for the formation enthalpy at 0 K is -3.502 eV per atom. Its crystal system is tetragonal.

a = 4.115 Å, b = 4.115 Å, c = 8.991 Å
α = 103.23°, β = 103.23°, γ = 90.00°
Element x y z (fractional)
F 0.500 0.000 0.000
Ba 0.846 0.846 0.693
F 0.250 0.750 0.500
F 0.750 0.250 0.500
F 0.380 0.380 0.760
F 0.000 0.500 0.000
F 0.620 0.620 0.240
Ba 0.154 0.154 0.307
Co 0.500 0.500 0.000

[6]
The following is a DFT calculation (PBE with a Hubbard U) of an optimized crystal structure of Li9Mn2Co5O16.

Results
Its calculated total energy is -5.812 eV/atom. The value obtained for the formation enthalpy at 0 K is -1.821 eV per atom. Its crystal system is monoclinic.

a = 7.836 Å, b = 7.836 Å, c = 12.960 Å
α = 88.29°, β = 88.29°, γ = 21.53°
Element x y z (fractional)
O 0.215 0.215 0.609
O 0.785 0.785 0.391
Co 0.876 0.876 0.876
O 0.599 0.599 0.475
Li 0.186 0.186 0.438
O 0.037 0.037 0.658
O 0.401 0.401 0.525
Li 0.445 0.445 0.674
Li 0.314 0.314 0.063
O 0.287 0.287 0.897
O 0.332 0.332 0.220
O 0.168 0.168 0.275
Co 0.384 0.384 0.390
O 0.832 0.832 0.725
O 0.668 0.668 0.780
Co 0.124 0.124 0.124
Co 0.500 0.500 0.000
O 0.713 0.713 0.103
O 0.538 0.538 0.149
Li 0.940 0.940 0.192
Mn 0.752 0.752 0.251
O 0.090 0.090 0.973
Li 0.555 0.555 0.326
Li 0.686 0.686 0.937
Li 0.814 0.814 0.562
O 0.963 0.963 0.342
O 0.910 0.910 0.027
O 0.462 0.462 0.851
Li 0.060 0.060 0.808
Co 0.616 0.616 0.610
Li 0.000 0.000 0.500
Mn 0.248 0.248 0.749

- The highest formation enthalpy at 0 K belongs to which entry?
  MgFeBiO3

Copy entry 5 word for word.
The following is a DFT calculation (PBE with a Hubbard U) of an optimized crystal structure of Ba2CoF6.

Results
Its calculated total energy is -5.505 eV/atom. The value obtained for the formation enthalpy at 0 K is -3.502 eV per atom. Its crystal system is tetragonal.

a = 4.115 Å, b = 4.115 Å, c = 8.991 Å
α = 103.23°, β = 103.23°, γ = 90.00°
Element x y z (fractional)
F 0.500 0.000 0.000
Ba 0.846 0.846 0.693
F 0.250 0.750 0.500
F 0.750 0.250 0.500
F 0.380 0.380 0.760
F 0.000 0.500 0.000
F 0.620 0.620 0.240
Ba 0.154 0.154 0.307
Co 0.500 0.500 0.000

- Among the records above, which one has the highest calculated total energy?
  Ba2CoF6